No. 1
# Ca3Si6W7O15

Crystalline Ca3Si6W7O15 at its relaxed geometry (PBE with a Hubbard U, the Materials Project database).

Output
- formation energy from the elements (eV per atom) = -1.406
- symmetry = P1, No. 1
- calculated volume (Å³ per cell) = 539.9
- size of the total moment (Bohr magnetons per cell) = 21.88

Structure (extended XYZ):
```
31
Lattice="7.470 0.000 0.000 1.627 7.644 0.000 3.515 0.541 9.455" Properties=species:S:1:pos:R:3 pbc="T T T"
Ca 0.000 0.000 0.000
Ca 2.167 0.185 2.772
Ca 9.155 8.070 9.194
Si 3.639 5.445 4.996
Si 2.152 2.957 0.489
Si 5.812 5.184 2.575
Si 5.283 3.042 0.306
Si 8.998 5.187 2.679
Si 11.013 5.093 8.154
W 5.638 7.636 6.015
W 4.030 2.428 4.223
W 7.095 5.845 7.929
W 5.905 2.029 6.213
W 8.012 3.943 5.762
W 8.865 7.372 5.868
W 7.031 1.940 3.715
O 3.565 7.081 5.095
O 3.696 4.823 6.505
O 1.894 3.810 1.866
O 4.618 4.017 8.810
O 2.087 1.350 0.718
O 4.864 5.030 3.958
O 7.190 3.963 9.403
O 5.364 6.497 1.773
O 5.588 3.744 1.778
O 5.597 1.466 0.289
O 7.391 5.194 3.018
O 9.560 4.429 8.593
O 11.043 6.622 8.679
O 9.725 4.934 4.191
O 9.526 6.543 2.000
```

No. 2
# Ca3Si3W2O12

Crystalline Ca3Si3W2O12 at its relaxed geometry (PBE with a Hubbard U, the Materials Project database).

Output
- formation energy from the elements (eV per atom) = -2.991
- symmetry = Ia-3d, No. 230
- calculated volume (Å³ per cell) = 971.1
- size of the total moment (Bohr magnetons per cell) = 24.06

Structure (extended XYZ):
```
80
Lattice="-6.238 6.238 6.238 6.238 -6.238 6.238 6.238 6.238 -6.238" Properties=species:S:1:pos:R:3 pbc="T T T"
Ca 3.119 1.560 0.000
Ca 6.238 3.119 -1.560
Ca 1.560 0.000 3.119
Ca 7.798 0.000 3.119
Ca 0.000 3.119 1.560
Ca 3.119 -1.560 6.238
Ca 3.119 7.798 0.000
Ca 6.238 3.119 4.679
Ca -1.560 6.238 3.119
Ca 4.679 6.238 3.119
Ca 0.000 3.119 7.798
Ca 3.119 4.679 6.238
Si 9.357 1.560 0.000
Si 6.238 -3.119 4.679
Si 4.679 6.238 -3.119
Si 4.679 0.000 3.119
Si 3.119 4.679 0.000
Si 6.238 3.119 1.560
Si 0.000 3.119 4.679
Si 3.119 1.560 6.238
Si 1.560 6.238 3.119
Si 1.560 0.000 9.357
Si 0.000 9.357 1.560
Si -3.119 4.679 6.238
W 0.000 0.000 0.000
W 3.119 3.119 -3.119
W 3.119 -3.119 3.119
W 6.238 0.000 0.000
W -3.119 3.119 3.119
W 0.000 6.238 0.000
W 0.000 0.000 6.238
W 3.119 3.119 3.119
O 2.008 -0.508 0.642
O 7.350 3.761 -3.627
O 8.246 0.508 0.642
O 7.350 -2.477 3.627
O 5.731 -0.642 2.008
O 9.865 -1.112 2.478
O 0.642 2.008 -0.508
O 8.716 2.612 -1.112
O 3.761 3.627 -1.112
O 5.597 2.008 0.508
O -0.508 0.642 2.008
O 3.627 -1.112 3.761
O 5.731 5.597 -2.008
O 3.627 1.112 2.477
O 3.761 -3.627 7.350
O 5.597 -2.008 5.731
O 2.477 3.627 1.112
O 6.880 4.231 0.508
O 3.627 7.350 -2.478
O 5.731 0.642 4.231
O 2.008 5.731 -0.642
O 7.350 2.478 2.612
O 1.112 2.477 3.627
O 2.008 0.508 5.597
O 4.231 5.731 0.642
O 5.127 3.761 2.612
O -1.112 3.761 3.627
O 4.231 0.508 6.880
O 0.508 5.597 2.008
O 2.612 -1.112 8.716
O -0.642 2.008 5.731
O 3.761 2.612 5.127
O 0.642 8.246 0.508
O 2.477 9.865 -1.112
O 2.612 5.127 3.761
O 0.508 0.642 8.246
O 2.612 7.350 2.477
O 6.746 5.597 4.231
O 0.642 4.231 5.731
O 2.477 2.612 7.350
O -2.477 3.627 7.350
O 5.597 4.231 6.746
O -3.627 7.350 3.761
O 0.508 6.880 4.231
O -1.112 8.716 2.612
O -2.008 5.731 5.597
O -1.112 2.478 9.865
O 4.231 6.746 5.597
```

No. 3
# Ca2SnWO6

Crystalline Ca2SnWO6 at its relaxed geometry (PBE with a Hubbard U, the Materials Project database).

Output
- formation energy from the elements (eV per atom) = -2.578
- energy above the lowest structure with this stoichiometry (meV per atom) = 37
- symmetry = P2_1/c, No. 14
- calculated volume (Å³ per cell) = 279.9
- size of the total moment (Bohr magnetons per cell) = 0.00

Structure (extended XYZ):
```
20
Lattice="5.661 0.000 0.000 0.000 5.963 0.000 -5.662 0.000 8.292" Properties=species:S:1:pos:R:3 pbc="T T T"
Ca -0.092 0.354 2.040
Ca -2.923 2.628 6.186
Ca 2.922 3.335 2.106
Ca 0.092 5.610 6.252
Sn -2.831 0.000 4.146
Sn 0.000 2.982 0.000
W 2.831 0.000 0.000
W 0.000 2.982 4.146
O -4.440 0.987 7.806
O -1.609 1.994 3.660
O -3.681 4.316 7.637
O -0.851 4.629 3.491
O -2.101 0.390 6.501
O 0.729 2.592 2.355
O -0.730 3.371 5.937
O 2.101 5.574 1.791
O 0.850 1.335 4.802
O 3.681 1.647 0.655
O 1.609 3.969 4.633
O 4.440 4.976 0.487
```

No. 4
# Ca2SnWO6

Crystalline Ca2SnWO6 at its relaxed geometry (PBE with a Hubbard U, the Materials Project database).

Output
- formation energy from the elements (eV per atom) = -2.615
- energy above the lowest structure with this stoichiometry (meV per atom) = 0
- symmetry = P1, No. 1
- calculated volume (Å³ per cell) = 130.9
- size of the total moment (Bohr magnetons per cell) = 2.00

Structure (extended XYZ):
```
10
Lattice="5.648 0.000 0.000 -2.791 4.932 0.000 -0.015 -3.234 4.700" Properties=species:S:1:pos:R:3 pbc="T T T"
Ca 0.000 0.000 0.000
Ca 0.023 3.324 2.322
Sn -0.004 0.053 3.221
W 2.828 1.669 0.857
O -2.245 3.439 1.917
O -0.548 1.750 4.249
O 1.136 1.319 1.948
O 1.724 -0.306 4.317
O 4.009 0.367 1.903
O 4.416 -1.265 4.262
```

The lowest calculated volume belongs to which entry?
number 4

Look up the formation energy from the elements of the third one.
-2.578 eV per atom

Look up the calculated volume of the first one.
539.9 Å³ per cell

Which value of calculated volume does entry 1 give?
539.9 Å³ per cell